Computed, not measured: Zr9Pt11 after structural relaxation at the GGA-PBE level of DFT.

```
Zr9Pt11
1.0
-5.247 5.247 3.430
5.247 -5.247 3.430
5.247 5.247 -3.430
Zr Pt
9 11
direct
0.000 0.000 0.000
0.095 0.693 0.788
0.247 0.418 0.665
0.307 0.095 0.403
0.418 0.753 0.171
0.582 0.247 0.829
0.693 0.905 0.597
0.753 0.582 0.335
0.905 0.307 0.212
0.018 0.676 0.113
0.095 0.982 0.658
0.250 0.750 0.500
0.324 0.437 0.342
0.437 0.095 0.113
0.500 0.500 0.000
0.563 0.905 0.887
0.676 0.563 0.658
0.750 0.250 0.500
0.905 0.018 0.342
0.982 0.324 0.887
```

Computed properties:
Its symmetry is I4/m. The energy relative to the elements is -1920 kJ/mol of formula units. For the total DFT energy (no corrections), the calculation gives -163.61 eV/cell. The total magnetization comes out at 0.011 μB per cell.